1.
First-principles (PBE+U) data for a geometry-optimized MgScMo3O8 structure, as listed in the Materials Project database.

- Space group: Cm (8)
- Energy relative to the lowest polymorph listed for this composition: 143 meV/atom
- Energy relative to the elements: -2.260 eV per atom
- Electronic total energy: -94.33 eV/cell

Cell: 6.030 6.030 5.045 Å, 91.22 91.22 61.98°
Atoms (fractional coordinates):
Mg: 0.000 0.000 0.000
Sc: 0.500 0.500 0.000
Mo: 0.000 0.000 0.500
Mo: 0.000 0.499 0.500
Mo: 0.499 0.000 0.500
O: 0.157 0.678 0.757
O: 0.170 0.170 0.731
O: 0.322 0.844 0.242
O: 0.332 0.332 0.293
O: 0.667 0.667 0.707
O: 0.678 0.157 0.757
O: 0.830 0.830 0.269
O: 0.844 0.322 0.242

=====

2.
First-principles (PBE+U) data for a geometry-optimized KCoPCO7 structure, as listed in the Materials Project database.

- Space group: P2_1 (4)
- Energy relative to the elements: -1.970 eV per atom
- Electronic total energy: -145.43 eV/cell

Cell: 5.281 6.084 9.925 Å, 90.00 91.72 90.00°
Atoms (fractional coordinates):
K: 0.245 0.000 0.262
K: 0.755 0.500 0.738
Co: 0.226 0.132 0.850
Co: 0.774 0.632 0.150
P: 0.279 0.637 0.944
P: 0.721 0.137 0.056
C: 0.280 0.154 0.614
C: 0.720 0.654 0.386
O: 0.061 0.144 0.674
O: 0.108 0.641 0.064
O: 0.224 0.828 0.840
O: 0.231 0.442 0.843
O: 0.312 0.181 0.493
O: 0.437 0.138 0.013
O: 0.464 0.135 0.708
O: 0.536 0.635 0.292
O: 0.563 0.638 0.987
O: 0.688 0.681 0.507
O: 0.769 0.942 0.157
O: 0.776 0.328 0.160
O: 0.892 0.141 0.936
O: 0.939 0.644 0.326

=====

3.
First-principles (PBE+U) data for a geometry-optimized NiPO4 structure, as listed in the Materials Project database.

- Space group: Pca2_1 (29)
- Energy relative to the elements: -1.259 eV per atom
- Electronic total energy: -282.85 eV/cell

Cell: 9.009 7.344 9.873 Å, 90.00 90.00 90.00°
Atoms (fractional coordinates):
Ni: 0.094 0.159 0.000
Ni: 0.095 0.153 0.667
Ni: 0.405 0.153 0.167
Ni: 0.406 0.159 0.500
Ni: 0.594 0.841 0.000
Ni: 0.595 0.847 0.667
Ni: 0.905 0.847 0.167
Ni: 0.906 0.841 0.500
P: 0.087 0.163 0.335
P: 0.249 0.742 0.081
P: 0.251 0.742 0.581
P: 0.413 0.163 0.835
P: 0.587 0.837 0.335
P: 0.749 0.258 0.081
P: 0.751 0.258 0.581
P: 0.913 0.837 0.835
O: 0.009 0.017 0.834
O: 0.031 0.385 0.898
O: 0.032 0.383 0.763
O: 0.111 0.853 0.594
O: 0.112 0.859 0.075
O: 0.184 0.176 0.464
O: 0.184 0.180 0.206
O: 0.247 0.543 0.074
O: 0.253 0.543 0.574
O: 0.316 0.176 0.964
O: 0.316 0.180 0.706
O: 0.388 0.859 0.575
O: 0.389 0.853 0.094
O: 0.468 0.383 0.263
O: 0.469 0.385 0.398
O: 0.491 0.017 0.334
O: 0.509 0.983 0.834
O: 0.531 0.615 0.898
O: 0.532 0.617 0.763
O: 0.611 0.147 0.594
O: 0.612 0.141 0.075
O: 0.684 0.820 0.206
O: 0.684 0.824 0.464
O: 0.747 0.457 0.074
O: 0.753 0.457 0.574
O: 0.816 0.820 0.706
O: 0.816 0.824 0.964
O: 0.888 0.141 0.575
O: 0.889 0.147 0.094
O: 0.968 0.617 0.263
O: 0.969 0.615 0.398
O: 0.991 0.983 0.334

=====

4.
First-principles (PBE+U) data for a geometry-optimized TiFe5O8 structure, as listed in the Materials Project database.

- Space group: R-3m (166)
- Energy relative to the lowest polymorph listed for this composition: 0 meV/atom
- Energy relative to the elements: -1.963 eV per atom
- Electronic total energy: -100.53 eV/cell

Cell: 6.096 6.096 6.096 Å, 59.69 59.69 59.69°
Atoms (fractional coordinates):
Ti: 0.000 0.000 0.000
Fe: 0.000 0.000 0.500
Fe: 0.000 0.500 0.000
Fe: 0.371 0.371 0.371
Fe: 0.500 0.000 0.000
Fe: 0.629 0.629 0.629
O: 0.234 0.234 0.761
O: 0.234 0.761 0.234
O: 0.239 0.766 0.766
O: 0.243 0.243 0.243
O: 0.757 0.757 0.757
O: 0.761 0.234 0.234
O: 0.766 0.239 0.766
O: 0.766 0.766 0.239

=====

5.
First-principles (PBE+U) data for a geometry-optimized LiCrP3O9 structure, as listed in the Materials Project database.

- Space group: Pbcm (57)
- Energy relative to the lowest polymorph listed for this composition: 58 meV/atom
- Energy relative to the elements: -2.543 eV per atom
- Electronic total energy: -399.01 eV/cell

Cell: 5.216 12.499 12.493 Å, 90.00 90.00 90.00°
Atoms (fractional coordinates):
Li: 0.057 0.084 0.250
Li: 0.057 0.416 0.750
Li: 0.943 0.584 0.250
Li: 0.943 0.916 0.750
Cr: 0.000 0.000 0.000
Cr: 0.000 0.000 0.500
Cr: 0.000 0.500 0.000
Cr: 0.000 0.500 0.500
P: 0.230 0.750 0.000
P: 0.230 0.750 0.500
P: 0.496 0.579 0.634
P: 0.496 0.579 0.866
P: 0.496 0.921 0.134
P: 0.496 0.921 0.366
P: 0.504 0.079 0.634
P: 0.504 0.079 0.866
P: 0.504 0.421 0.134
P: 0.504 0.421 0.366
P: 0.770 0.250 0.000
P: 0.770 0.250 0.500
O: 0.090 0.678 0.076
O: 0.090 0.678 0.424
O: 0.090 0.822 0.576
O: 0.090 0.822 0.924
O: 0.226 0.048 0.627
O: 0.226 0.048 0.873
O: 0.226 0.452 0.127
O: 0.226 0.452 0.373
O: 0.297 0.007 0.117
O: 0.297 0.007 0.383
O: 0.297 0.493 0.617
O: 0.297 0.493 0.883
O: 0.448 0.681 0.563
O: 0.448 0.681 0.937
O: 0.448 0.819 0.063
O: 0.448 0.819 0.437
O: 0.449 0.631 0.750
O: 0.449 0.869 0.250
O: 0.551 0.131 0.750
O: 0.551 0.369 0.250
O: 0.552 0.181 0.563
O: 0.552 0.181 0.937
O: 0.552 0.319 0.063
O: 0.552 0.319 0.437
O: 0.703 0.507 0.117
O: 0.703 0.507 0.383
O: 0.703 0.993 0.617
O: 0.703 0.993 0.883
O: 0.774 0.548 0.627
O: 0.774 0.548 0.873
O: 0.774 0.952 0.127
O: 0.774 0.952 0.373
O: 0.910 0.178 0.076
O: 0.910 0.178 0.424
O: 0.910 0.322 0.576
O: 0.910 0.322 0.924

=====

6.
First-principles (PBE+U) data for a geometry-optimized CaTbMn2O6 structure, as listed in the Materials Project database.

- Space group: Pmn2_1 (31)
- Energy relative to the elements: -2.783 eV per atom
- Electronic total energy: -150.05 eV/cell

Cell: 7.586 5.554 5.373 Å, 90.00 90.00 90.00°
Atoms (fractional coordinates):
Ca: 0.000 0.199 0.000
Ca: 0.500 0.801 0.500
Tb: 0.000 0.689 0.526
Tb: 0.500 0.311 0.026
Mn: 0.250 0.246 0.511
Mn: 0.250 0.754 0.011
Mn: 0.750 0.246 0.511
Mn: 0.750 0.754 0.011
O: 0.000 0.280 0.426
O: 0.000 0.775 0.108
O: 0.202 0.949 0.709
O: 0.204 0.460 0.802
O: 0.296 0.540 0.302
O: 0.298 0.051 0.209
O: 0.500 0.225 0.608
O: 0.500 0.720 0.926
O: 0.702 0.051 0.209
O: 0.704 0.540 0.302
O: 0.796 0.460 0.802
O: 0.798 0.949 0.709

=====

7.
First-principles (PBE+U) data for a geometry-optimized EuCoO3 structure, as listed in the Materials Project database.

- Space group: Pnma (62)
- Energy relative to the elements: -2.220 eV per atom
- Electronic total energy: -158.43 eV/cell

Cell: 5.467 7.665 5.362 Å, 90.00 90.00 90.00°
Atoms (fractional coordinates):
Eu: 0.048 0.250 0.010
Eu: 0.452 0.750 0.510
Eu: 0.548 0.250 0.490
Eu: 0.952 0.750 0.990
Co: 0.000 0.000 0.500
Co: 0.000 0.500 0.500
Co: 0.500 0.000 0.000
Co: 0.500 0.500 0.000
O: 0.015 0.750 0.427
O: 0.204 0.539 0.793
O: 0.204 0.961 0.793
O: 0.296 0.039 0.293
O: 0.296 0.461 0.293
O: 0.485 0.250 0.927
O: 0.515 0.750 0.073
O: 0.704 0.539 0.707
O: 0.704 0.961 0.707
O: 0.796 0.039 0.207
O: 0.796 0.461 0.207
O: 0.985 0.250 0.573

=====

8.
First-principles (PBE+U) data for a geometry-optimized V3BiPb3O12 structure, as listed in the Materials Project database.

- Space group: Cc (9)
- Energy relative to the elements: -2.111 eV per atom
- Electronic total energy: -256.83 eV/cell

Cell: 9.533 9.533 9.503 Å, 109.48 109.48 109.50°
Atoms (fractional coordinates):
V: 0.063 0.937 0.500
V: 0.184 0.561 0.752
V: 0.437 0.690 0.373
V: 0.561 0.184 0.252
V: 0.690 0.437 0.873
V: 0.937 0.063 0.000
Bi: 0.137 0.812 0.124
Bi: 0.812 0.137 0.624
Pb: 0.317 0.317 0.469
Pb: 0.317 0.317 0.969
Pb: 0.469 0.972 0.787
Pb: 0.650 0.812 0.121
Pb: 0.812 0.650 0.621
Pb: 0.972 0.469 0.287
O: 0.002 0.735 0.472
O: 0.044 0.629 0.794
O: 0.083 0.241 0.201
O: 0.116 0.960 0.344
O: 0.146 0.378 0.774
O: 0.156 0.506 0.546
O: 0.233 0.669 0.313
O: 0.241 0.083 0.701
O: 0.378 0.146 0.274
O: 0.392 0.736 0.898
O: 0.463 0.543 0.432
O: 0.465 0.655 0.196
O: 0.506 0.156 0.046
O: 0.543 0.463 0.932
O: 0.594 0.900 0.553
O: 0.629 0.044 0.294
O: 0.655 0.465 0.696
O: 0.669 0.233 0.813
O: 0.735 0.002 0.972
O: 0.736 0.392 0.398
O: 0.887 0.972 0.478
O: 0.900 0.594 0.053
O: 0.960 0.116 0.844
O: 0.972 0.887 0.978

=====

9.
First-principles (PBE+U) data for a geometry-optimized Li9Mn2Co5O16 structure, as listed in the Materials Project database.

- Space group: P1 (1)
- Energy relative to the lowest polymorph listed for this composition: 137 meV/atom
- Energy relative to the elements: -1.727 eV per atom
- Electronic total energy: -182.95 eV/cell

Cell: 3.000 5.001 19.343 Å, 94.50 92.67 92.18°
Atoms (fractional coordinates):
Li: 0.000 0.000 0.000
Li: 0.049 0.688 0.119
Li: 0.101 0.373 0.238
Li: 0.237 0.747 0.490
Li: 0.362 0.124 0.743
Li: 0.487 0.515 0.002
Li: 0.613 0.866 0.238
Li: 0.735 0.252 0.492
Li: 0.861 0.626 0.743
Mn: 0.798 0.938 0.618
Mn: 0.927 0.313 0.869
Co: 0.171 0.063 0.367
Co: 0.298 0.438 0.618
Co: 0.427 0.813 0.869
Co: 0.549 0.188 0.119
Co: 0.672 0.562 0.366
O: 0.038 0.329 0.064
O: 0.058 0.047 0.173
O: 0.149 0.726 0.309
O: 0.197 0.399 0.426
O: 0.239 0.106 0.561
O: 0.359 0.769 0.676
O: 0.372 0.480 0.812
O: 0.476 0.148 0.924
O: 0.515 0.885 0.063
O: 0.583 0.488 0.174
O: 0.651 0.224 0.311
O: 0.701 0.896 0.426
O: 0.738 0.597 0.561
O: 0.861 0.276 0.675
O: 0.864 0.974 0.811
O: 0.985 0.654 0.926

=====

10.
First-principles (PBE+U) data for a geometry-optimized Li2Mn3F8 structure, as listed in the Materials Project database.

- Space group: C2/c (15)
- Energy relative to the lowest polymorph listed for this composition: 61 meV/atom
- Energy relative to the elements: -2.941 eV per atom
- Electronic total energy: -152.31 eV/cell

Cell: 9.458 9.458 5.675 Å, 93.04 93.04 38.11°
Atoms (fractional coordinates):
Li: 0.034 0.761 0.716
Li: 0.239 0.966 0.784
Li: 0.761 0.034 0.216
Li: 0.966 0.239 0.284
Mn: 0.132 0.454 0.266
Mn: 0.361 0.639 0.250
Mn: 0.454 0.132 0.766
Mn: 0.546 0.868 0.234
Mn: 0.639 0.361 0.750
Mn: 0.868 0.546 0.734
F: 0.060 0.775 0.371
F: 0.131 0.283 0.955
F: 0.159 0.468 0.637
F: 0.225 0.940 0.129
F: 0.283 0.131 0.455
F: 0.312 0.567 0.915
F: 0.433 0.688 0.585
F: 0.468 0.159 0.137
F: 0.532 0.841 0.863
F: 0.567 0.312 0.415
F: 0.688 0.433 0.085
F: 0.717 0.869 0.545
F: 0.775 0.060 0.871
F: 0.841 0.532 0.363
F: 0.869 0.717 0.045
F: 0.940 0.225 0.629

=====

11.
First-principles (PBE+U) data for a geometry-optimized CaPrHfCrO6 structure, as listed in the Materials Project database.

- Space group: F-43m (216)
- Energy relative to the elements: -3.315 eV per atom
- Electronic total energy: -83.11 eV/cell

Cell: 5.651 5.651 5.651 Å, 60.00 60.00 60.00°
Atoms (fractional coordinates):
Ca: 0.000 0.000 0.000
Pr: 0.500 0.500 0.500
Hf: 0.750 0.750 0.750
Cr: 0.250 0.250 0.250
O: 0.004 0.004 0.496
O: 0.004 0.496 0.004
O: 0.004 0.496 0.496
O: 0.496 0.004 0.004
O: 0.496 0.004 0.496
O: 0.496 0.496 0.004

=====

12.
First-principles (PBE+U) data for a geometry-optimized La3SmV3CrO12 structure, as listed in the Materials Project database.

- Space group: Pma2 (28)
- Energy relative to the elements: -3.117 eV per atom
- Electronic total energy: -325.60 eV/cell

Cell: 7.796 7.949 7.914 Å, 90.00 90.00 90.00°
Atoms (fractional coordinates):
La: 0.000 0.000 0.000
La: 0.000 0.000 0.494
La: 0.000 0.500 0.002
La: 0.500 0.000 0.000
La: 0.500 0.000 0.494
La: 0.500 0.500 0.002
Sm: 0.000 0.500 0.496
Sm: 0.500 0.500 0.496
V: 0.250 0.250 0.748
V: 0.250 0.251 0.249
V: 0.250 0.749 0.747
V: 0.750 0.251 0.747
V: 0.750 0.749 0.249
V: 0.750 0.750 0.748
Cr: 0.250 0.749 0.249
Cr: 0.750 0.251 0.249
O: 0.000 0.252 0.250
O: 0.000 0.252 0.747
O: 0.000 0.748 0.250
O: 0.000 0.748 0.747
O: 0.250 0.250 0.999
O: 0.250 0.253 0.498
O: 0.250 0.501 0.745
O: 0.250 0.503 0.252
O: 0.250 0.746 0.495
O: 0.250 0.750 0.001
O: 0.250 0.997 0.248
O: 0.250 0.998 0.748
O: 0.500 0.252 0.250
O: 0.500 0.252 0.747
O: 0.500 0.748 0.250
O: 0.500 0.748 0.747
O: 0.750 0.002 0.748
O: 0.750 0.003 0.248
O: 0.750 0.250 0.001
O: 0.750 0.254 0.495
O: 0.750 0.497 0.252
O: 0.750 0.499 0.745
O: 0.750 0.747 0.498
O: 0.750 0.750 0.999

=====

Q: electronic total energy of number 8 (V3BiPb3O12)?
A: -256.83 eV/cell